Computed, not measured: a relaxed Y5Si4 crystal at the PBE-GGA level of DFT.

abc: 7.443 7.710 14.627
angles: 90.00 90.00 90.00
Fractional coordinates of all 36 atoms:
1 Si 0.647 0.971 0.040
2 Si 0.147 0.529 0.460
3 Si 0.025 0.896 0.250
4 Si 0.525 0.604 0.250
5 Si 0.147 0.529 0.040
6 Si 0.647 0.971 0.460
7 Si 0.353 0.029 0.960
8 Si 0.475 0.396 0.750
9 Si 0.767 0.373 0.250
10 Si 0.267 0.127 0.250
11 Si 0.233 0.627 0.750
12 Si 0.353 0.029 0.540
13 Si 0.975 0.104 0.750
14 Si 0.853 0.471 0.960
15 Si 0.853 0.471 0.540
16 Si 0.733 0.873 0.750
17 Y 0.150 0.489 0.250
18 Y 0.819 0.680 0.377
19 Y 0.528 0.683 0.902
20 Y 0.850 0.511 0.750
21 Y 0.319 0.820 0.377
22 Y 0.319 0.820 0.123
23 Y 0.028 0.817 0.902
24 Y 0.681 0.180 0.877
25 Y 0.028 0.817 0.598
26 Y 0.650 0.011 0.250
27 Y 0.181 0.320 0.623
28 Y 0.681 0.180 0.623
29 Y 0.972 0.183 0.098
30 Y 0.472 0.317 0.402
31 Y 0.181 0.320 0.877
32 Y 0.528 0.683 0.598
33 Y 0.350 0.989 0.750
34 Y 0.819 0.680 0.123
35 Y 0.972 0.183 0.402
36 Y 0.472 0.317 0.098

Energy relative to the lowest polymorph listed for this composition: 0.00 eV per formula unit
Energy of formation from the pure elements: -0.740 eV per atom
Raw total energy: -0.4980 Ry/atom
Space-group type: Pnma (62)

---

Computed, not measured: a relaxed YSi2 crystal at the PBE-GGA level of DFT.

abc: 7.819 7.819 7.819
angles: 150.40 150.40 42.36
Fractional coordinates of all 6 atoms:
1 Si 0.582 0.582 0.000
2 Si 0.332 0.832 0.500
3 Si 0.418 0.418 0.000
4 Si 0.168 0.668 0.500
5 Y 0.750 0.250 0.500
6 Y 0.000 0.000 0.000

Energy of formation from the pure elements: -0.501 eV per atom
Raw total energy: -0.4645 Ry/atom
Space-group type: I4_1/amd (141)